[1]
Crystalline TmBiO3 at its relaxed geometry. Source: Materials Project, functional PBE-GGA.

Values from the calculation:
The formation energy is -2.81 eV per atom. Its volume is 15.4 Å³/atom.

Lattice parameters (Å, degrees): 6.0907 6.0907 6.0907 58.47 58.47 58.47
Sites, in units of the cell vectors:
Tm 0.1430 0.1430 0.1430
Tm 0.8570 0.8570 0.8570
Bi 0.3579 0.3579 0.3579
Bi 0.6421 0.6421 0.6421
O 0.0107 0.4543 0.7856
O 0.2144 0.9893 0.5457
O 0.4543 0.7856 0.0107
O 0.5457 0.2144 0.9893
O 0.7856 0.0107 0.4543
O 0.9893 0.5457 0.2144

[2]
Crystalline Dy5In4Pd2 at its relaxed geometry. Source: Materials Project, functional PBE-GGA.

Values from the calculation:
The formation energy is -0.69 eV per atom. Its volume is 24.6 Å³/atom.

Lattice parameters (Å, degrees): 8.1291 18.2979 3.6372 90.00 90.00 90.00
Sites, in units of the cell vectors:
Dy 0.0000 0.0000 0.0000
Dy 0.1144 0.4177 0.0000
Dy 0.2430 0.2201 0.0000
Dy 0.2570 0.7201 0.0000
Dy 0.3856 0.9177 0.0000
Dy 0.5000 0.5000 0.0000
Dy 0.6144 0.0823 0.0000
Dy 0.7430 0.2799 0.0000
Dy 0.7570 0.7799 0.0000
Dy 0.8856 0.5823 0.0000
In 0.0778 0.8511 0.5000
In 0.2119 0.5695 0.5000
In 0.2881 0.0695 0.5000
In 0.4222 0.3511 0.5000
In 0.5778 0.6489 0.5000
In 0.7119 0.9305 0.5000
In 0.7881 0.4305 0.5000
In 0.9222 0.1489 0.5000
Pd 0.0269 0.3037 0.5000
Pd 0.4731 0.8037 0.5000
Pd 0.5269 0.1963 0.5000
Pd 0.9731 0.6963 0.5000

[3]
Crystalline P2Pt at its relaxed geometry. Source: Materials Project, functional PBE-GGA.

Values from the calculation:
The formation energy is -0.68 eV per atom. Its volume is 15.9 Å³/atom.

Lattice parameters (Å, degrees): 5.7548 5.7548 5.7548 90.00 90.00 90.00
Sites, in units of the cell vectors:
P 0.1100 0.1100 0.1100
P 0.1100 0.3900 0.6100
P 0.3900 0.6100 0.1100
P 0.3900 0.8900 0.6100
P 0.6100 0.1100 0.3900
P 0.6100 0.3900 0.8900
P 0.8900 0.6100 0.3900
P 0.8900 0.8900 0.8900
Pt 0.0000 0.0000 0.5000
Pt 0.0000 0.5000 0.0000
Pt 0.5000 0.0000 0.0000
Pt 0.5000 0.5000 0.5000

[4]
Crystalline Na7Ca3GeP5SO24 at its relaxed geometry. Source: Materials Project, functional PBE-GGA.

Values from the calculation:
The formation energy is -2.67 eV per atom. Its volume is 13.6 Å³/atom.

Lattice parameters (Å, degrees): 9.2695 9.2719 22.5347 89.56 89.71 60.03
Sites, in units of the cell vectors:
Na 0.0000 0.0000 0.0000
Na 0.0007 0.7321 0.4911
Na 0.0213 0.0384 0.6630
Na 0.0327 0.6768 0.1682
Na 0.3075 0.0307 0.1680
Na 0.3174 0.3931 0.6566
Na 0.3227 0.0682 0.8247
Na 0.3338 0.3531 0.3251
Na 0.3527 0.6874 0.0848
Na 0.3555 0.6966 0.5810
Na 0.3748 0.3650 0.0050
Na 0.3839 0.9989 0.4932
Na 0.6239 0.3735 0.4944
Na 0.6342 0.7430 0.0042
Na 0.6758 0.0363 0.4031
Na 0.6810 0.0347 0.9174
Na 0.6935 0.6993 0.3249
Na 0.7128 0.3266 0.8268
Na 0.9719 0.7150 0.8276
Na 0.9894 0.3575 0.2465
Na 0.9904 0.3702 0.7382
Ca 0.0034 0.3664 0.8975
Ca 0.0049 0.3649 0.3897
Ca 0.3303 0.7081 0.9339
Ca 0.3367 0.7003 0.4200
Ca 0.3395 0.7094 0.7245
Ca 0.3399 0.7005 0.2286
Ca 0.6685 0.0316 0.5660
Ca 0.6688 0.0400 0.0670
Ca 0.6727 0.0338 0.7496
Ge 0.6796 0.0403 0.2596
Ge 0.9961 0.3898 0.5972
Ge 0.9966 0.3699 0.0975
P 0.0043 0.6558 0.9987
P 0.0147 0.7199 0.3233
P 0.0268 0.0081 0.8278
P 0.2889 0.3738 0.4981
P 0.2912 0.0806 0.9994
P 0.3402 0.0568 0.6562
P 0.3564 0.0093 0.3216
P 0.3571 0.3327 0.1592
P 0.6413 0.3818 0.3255
P 0.6853 0.3455 0.6559
P 0.6851 0.7261 0.1587
P 0.7127 0.3729 0.9982
P 0.7142 0.6553 0.4970
P 0.9604 0.0521 0.1592
P 0.9805 0.7157 0.6589
S 0.0071 0.0761 0.4990
S 0.3406 0.3977 0.8275
S 0.6387 0.7064 0.8298
O 0.0100 0.1840 0.8270
O 0.0219 0.5376 0.0535
O 0.0247 0.1570 0.5541
O 0.0839 0.7453 0.3822
O 0.1116 0.9081 0.8848
O 0.1274 0.6907 0.2707
O 0.1302 0.9185 0.7728
O 0.1355 0.9037 0.1692
O 0.1604 0.6824 0.6626
O 0.1614 0.9084 0.4959
O 0.1628 0.2243 0.6510
O 0.1668 0.6649 0.0016
O 0.1717 0.1798 0.0538
O 0.1740 0.3918 0.5548
O 0.1810 0.3359 0.1573
O 0.1869 0.3850 0.8290
O 0.2109 0.3525 0.4427
O 0.2134 0.1893 0.3264
O 0.2211 0.1696 0.9406
O 0.2983 0.5362 0.4988
O 0.3036 0.9075 0.0022
O 0.3060 0.9116 0.6606
O 0.3195 0.5116 0.1664
O 0.3308 0.4945 0.7745
O 0.3343 0.9245 0.2681
O 0.3574 0.4777 0.8818
O 0.3895 0.9054 0.3794
O 0.4138 0.0870 0.7134
O 0.4455 0.0366 0.6021
O 0.4502 0.2622 0.1017
O 0.4522 0.2134 0.2138
O 0.4651 0.2215 0.5038
O 0.4666 0.0594 0.0035
O 0.4891 0.2268 0.8251
O 0.5274 0.0146 0.3139
O 0.5298 0.5159 0.6619
O 0.5309 0.7105 0.1667
O 0.5399 0.5334 0.0015
O 0.5397 0.6707 0.4992
O 0.5418 0.4384 0.3849
O 0.5458 0.5042 0.2768
O 0.5488 0.7185 0.8855
O 0.5520 0.6869 0.7791
O 0.6465 0.2082 0.3143
O 0.6488 0.8618 0.8249
O 0.6622 0.2584 0.6025
O 0.6632 0.8225 0.1014
O 0.6927 0.2181 0.0030
O 0.6972 0.8289 0.5026
O 0.7195 0.8143 0.2128
O 0.7231 0.2372 0.7128
O 0.7973 0.3567 0.9387
O 0.8072 0.5786 0.4402
O 0.8104 0.5601 0.8296
O 0.8137 0.5360 0.5519
O 0.8153 0.3597 0.3289
O 0.8163 0.3918 0.0507
O 0.8371 0.8842 0.3147
O 0.8391 0.0739 0.2131
O 0.8502 0.0260 0.8262
O 0.8511 0.8322 0.0024
O 0.8520 0.3542 0.6490
O 0.8537 0.5485 0.1553
O 0.8597 0.0527 0.5023
O 0.8824 0.7878 0.7166
O 0.8961 0.0222 0.1018
O 0.8998 0.8266 0.6051
O 0.9771 0.2150 0.1561
O 0.9838 0.5711 0.3272
O 0.9873 0.1756 0.4469
O 0.9873 0.5849 0.9401
O 0.9932 0.5386 0.6530

Question: Which of these has the highest volume?
Answer: Dy5In4Pd2

Question: Number 4 is which compound?
Answer: Na7Ca3GeP5SO24